Na2YCO3F3 after structural relaxation. Source: Materials Project, functional GGA-PBE.

```
Na2YCO3F3
1.0
6.540 0.000 0.000
0.000 10.793 0.000
0.000 0.000 14.251
Na Y C O F
16 8 8 24 24
direct
0.053 0.993 0.607 Na
0.236 0.278 0.256 Na
0.553 0.507 0.393 Na
0.053 0.507 0.107 Na
0.764 0.778 0.244 Na
0.236 0.222 0.756 Na
0.264 0.778 0.256 Na
0.264 0.722 0.756 Na
0.947 0.493 0.893 Na
0.447 0.007 0.107 Na
0.736 0.278 0.244 Na
0.764 0.722 0.744 Na
0.553 0.993 0.893 Na
0.447 0.493 0.607 Na
0.736 0.222 0.744 Na
0.947 0.007 0.393 Na
0.994 0.316 0.514 Y
0.006 0.684 0.486 Y
0.994 0.184 0.014 Y
0.006 0.816 0.986 Y
0.506 0.816 0.514 Y
0.506 0.684 0.014 Y
0.494 0.316 0.986 Y
0.494 0.184 0.486 Y
0.997 0.518 0.325 C
0.503 0.018 0.325 C
0.003 0.482 0.675 C
0.997 0.982 0.825 C
0.503 0.482 0.825 C
0.497 0.982 0.675 C
0.497 0.518 0.175 C
0.003 0.018 0.175 C
0.432 0.487 0.089 O
0.999 0.439 0.259 O
0.932 0.013 0.911 O
0.001 0.939 0.241 O
0.552 0.868 0.684 O
0.052 0.632 0.316 O
0.052 0.868 0.816 O
0.948 0.132 0.184 O
0.068 0.513 0.589 O
0.432 0.013 0.589 O
0.501 0.939 0.259 O
0.001 0.561 0.741 O
0.552 0.632 0.184 O
0.448 0.132 0.316 O
0.568 0.513 0.911 O
0.499 0.439 0.241 O
0.568 0.987 0.411 O
0.501 0.561 0.759 O
0.999 0.061 0.759 O
0.448 0.368 0.816 O
0.932 0.487 0.411 O
0.068 0.987 0.089 O
0.948 0.368 0.684 O
0.499 0.061 0.741 O
0.849 0.626 0.021 F
0.709 0.662 0.579 F
0.151 0.374 0.979 F
0.349 0.874 0.979 F
0.198 0.779 0.602 F
0.802 0.279 0.898 F
0.198 0.721 0.102 F
0.302 0.279 0.602 F
0.791 0.338 0.079 F
0.698 0.721 0.398 F
0.291 0.338 0.421 F
0.209 0.838 0.421 F
0.802 0.221 0.398 F
0.849 0.874 0.521 F
0.651 0.374 0.521 F
0.302 0.221 0.102 F
0.151 0.126 0.479 F
0.291 0.162 0.921 F
0.698 0.779 0.898 F
0.209 0.662 0.921 F
0.349 0.626 0.479 F
0.791 0.162 0.579 F
0.709 0.838 0.079 F
0.651 0.126 0.021 F
```

Properties
ρ   3.33 g cm⁻³
DFT formation energy   -3.06 eV per atom

Na3YC2O6F2 after structural relaxation. Source: Materials Project, functional GGA-PBE.

```
Na3YC2O6F2
1.0
15.064 0.000 0.000
0.000 7.133 0.000
0.000 4.274 6.670
Na Y C O F
12 4 8 24 8
direct
0.500 0.500 0.500 Na
0.000 0.500 0.000 Na
0.007 0.744 0.243 Na
0.493 0.744 0.743 Na
0.993 0.256 0.757 Na
0.507 0.256 0.257 Na
0.500 0.000 0.000 Na
0.000 0.000 0.500 Na
0.187 0.375 0.373 Na
0.313 0.375 0.873 Na
0.813 0.625 0.627 Na
0.687 0.625 0.127 Na
0.213 0.877 0.871 Y
0.287 0.877 0.371 Y
0.787 0.123 0.129 Y
0.713 0.123 0.629 Y
0.868 0.356 0.392 C
0.632 0.356 0.892 C
0.132 0.644 0.608 C
0.368 0.644 0.108 C
0.136 0.112 0.132 C
0.364 0.112 0.632 C
0.864 0.888 0.868 C
0.636 0.888 0.368 C
0.056 0.142 0.073 O
0.444 0.142 0.573 O
0.944 0.858 0.927 O
0.556 0.858 0.427 O
0.300 0.064 0.546 O
0.200 0.064 0.046 O
0.700 0.936 0.454 O
0.800 0.936 0.954 O
0.160 0.636 0.455 O
0.340 0.636 0.955 O
0.840 0.364 0.545 O
0.660 0.364 0.045 O
0.194 0.682 0.703 O
0.306 0.682 0.203 O
0.806 0.318 0.297 O
0.694 0.318 0.797 O
0.950 0.377 0.345 O
0.550 0.377 0.845 O
0.050 0.623 0.655 O
0.450 0.623 0.155 O
0.161 0.117 0.287 O
0.339 0.117 0.787 O
0.839 0.883 0.713 O
0.661 0.883 0.213 O
0.111 0.107 0.666 F
0.389 0.107 0.166 F
0.889 0.893 0.334 F
0.611 0.893 0.834 F
0.118 0.638 0.086 F
0.382 0.638 0.586 F
0.882 0.362 0.914 F
0.618 0.362 0.414 F
```

Properties
ρ   2.93 g cm⁻³
DFT formation energy   -2.66 eV per atom

P2Os4C15O13F6 after structural relaxation. Source: Materials Project, functional GGA-PBE.

```
P2Os4C15O13F6
1.0
4.958 9.208 0.000
-4.958 9.208 0.000
0.000 3.592 29.769
P Os C O F
8 16 60 52 24
direct
0.501 0.203 0.350 P
0.203 0.501 0.850 P
0.686 0.767 0.086 P
0.233 0.314 0.414 P
0.314 0.233 0.914 P
0.767 0.686 0.586 P
0.499 0.797 0.650 P
0.797 0.499 0.150 P
0.341 0.231 0.833 Os
0.941 0.596 0.109 Os
0.769 0.659 0.667 Os
0.754 0.464 0.603 Os
0.536 0.246 0.897 Os
0.413 0.655 0.616 Os
0.246 0.536 0.397 Os
0.659 0.769 0.167 Os
0.587 0.345 0.384 Os
0.231 0.341 0.333 Os
0.404 0.059 0.391 Os
0.596 0.941 0.609 Os
0.655 0.413 0.116 Os
0.059 0.404 0.891 Os
0.464 0.754 0.103 Os
0.345 0.587 0.884 Os
0.656 0.951 0.055 C
0.502 0.222 0.793 C
0.951 0.656 0.555 C
0.350 0.912 0.697 C
0.498 0.778 0.207 C
0.344 0.049 0.945 C
0.450 0.052 0.564 C
0.650 0.088 0.303 C
0.029 0.672 0.400 C
0.495 0.103 0.650 C
0.500 0.402 0.089 C
0.052 0.450 0.064 C
0.948 0.550 0.936 C
0.314 0.735 0.140 C
0.198 0.808 0.626 C
0.796 0.736 0.211 C
0.449 0.573 0.825 C
0.740 0.432 0.056 C
0.808 0.198 0.126 C
0.725 0.411 0.548 C
0.598 0.500 0.411 C
0.274 0.990 0.417 C
0.429 0.013 0.835 C
0.204 0.264 0.789 C
0.010 0.726 0.083 C
0.736 0.796 0.711 C
0.589 0.275 0.952 C
0.568 0.260 0.444 C
0.088 0.650 0.803 C
0.735 0.314 0.640 C
0.990 0.274 0.917 C
0.505 0.897 0.350 C
0.049 0.344 0.445 C
0.726 0.010 0.583 C
0.260 0.568 0.944 C
0.275 0.589 0.452 C
0.402 0.500 0.589 C
0.013 0.429 0.335 C
0.571 0.987 0.165 C
0.411 0.725 0.048 C
0.103 0.495 0.150 C
0.264 0.204 0.289 C
0.778 0.498 0.707 C
0.500 0.598 0.911 C
0.427 0.551 0.675 C
0.672 0.029 0.900 C
0.192 0.802 0.874 C
0.328 0.971 0.100 C
0.573 0.449 0.325 C
0.686 0.265 0.860 C
0.222 0.502 0.293 C
0.987 0.571 0.665 C
0.265 0.686 0.360 C
0.971 0.328 0.600 C
0.897 0.505 0.850 C
0.912 0.350 0.197 C
0.432 0.740 0.556 C
0.550 0.948 0.436 C
0.551 0.427 0.175 C
0.802 0.192 0.374 C
0.117 0.363 0.036 O
0.765 0.899 0.900 O
0.489 0.431 0.210 O
0.436 0.202 0.674 O
0.883 0.637 0.964 O
0.213 0.598 0.268 O
0.202 0.436 0.174 O
0.438 0.790 0.520 O
0.379 0.710 0.013 O
0.899 0.069 0.133 O
0.235 0.101 0.100 O
0.797 0.059 0.566 O
0.931 0.101 0.367 O
0.598 0.599 0.425 O
0.269 0.782 0.338 O
0.126 0.279 0.761 O
0.798 0.564 0.826 O
0.721 0.874 0.739 O
0.203 0.941 0.434 O
0.290 0.621 0.487 O
0.059 0.797 0.066 O
0.621 0.290 0.987 O
0.874 0.721 0.239 O
0.882 0.480 0.334 O
0.402 0.787 0.232 O
0.941 0.203 0.934 O
0.101 0.235 0.600 O
0.598 0.213 0.768 O
0.279 0.126 0.261 O
0.787 0.402 0.732 O
0.480 0.882 0.834 O
0.210 0.562 0.980 O
0.511 0.569 0.790 O
0.899 0.765 0.400 O
0.218 0.731 0.162 O
0.782 0.269 0.838 O
0.431 0.489 0.710 O
0.569 0.511 0.290 O
0.402 0.401 0.575 O
0.401 0.402 0.075 O
0.363 0.117 0.536 O
0.564 0.798 0.326 O
0.710 0.379 0.513 O
0.118 0.520 0.666 O
0.637 0.883 0.464 O
0.069 0.899 0.633 O
0.562 0.210 0.480 O
0.790 0.438 0.020 O
0.599 0.598 0.925 O
0.731 0.218 0.662 O
0.101 0.931 0.867 O
0.520 0.118 0.166 O
0.064 0.505 0.551 F
0.279 0.988 0.926 F
0.692 0.176 0.277 F
0.081 0.278 0.488 F
0.721 0.012 0.074 F
0.176 0.692 0.777 F
0.964 0.405 0.225 F
0.037 0.219 0.180 F
0.824 0.308 0.223 F
0.781 0.963 0.320 F
0.219 0.037 0.680 F
0.936 0.495 0.449 F
0.012 0.721 0.574 F
0.308 0.824 0.723 F
0.036 0.595 0.775 F
0.595 0.036 0.275 F
0.988 0.279 0.426 F
0.278 0.081 0.988 F
0.405 0.964 0.725 F
0.722 0.919 0.012 F
0.919 0.722 0.512 F
0.495 0.936 0.949 F
0.963 0.781 0.820 F
0.505 0.064 0.051 F
```

Properties
ρ   3.24 g cm⁻³
DFT formation energy   -1.13 eV per atom

Sb4OsC6O6F22 after structural relaxation. Source: Materials Project, functional GGA-PBE.

```
Sb4OsC6O6F22
1.0
12.779 0.000 0.000
0.000 9.980 0.000
0.000 6.154 10.060
Sb Os C O F
8 2 12 12 44
direct
0.369 0.242 0.774 Sb
0.631 0.758 0.226 Sb
0.300 0.600 0.997 Sb
0.200 0.600 0.497 Sb
0.869 0.758 0.726 Sb
0.131 0.242 0.274 Sb
0.700 0.400 0.003 Sb
0.800 0.400 0.503 Sb
0.000 0.000 0.000 Os
0.500 0.000 0.500 Os
0.553 0.970 0.673 C
0.647 0.050 0.426 C
0.477 0.231 0.426 C
0.947 0.970 0.173 C
0.523 0.769 0.574 C
0.053 0.030 0.827 C
0.023 0.231 0.926 C
0.353 0.950 0.574 C
0.977 0.769 0.074 C
0.853 0.050 0.926 C
0.447 0.030 0.327 C
0.147 0.950 0.074 C
0.583 0.951 0.771 O
0.729 0.082 0.384 O
0.083 0.049 0.729 O
0.534 0.638 0.618 O
0.417 0.049 0.229 O
0.917 0.951 0.271 O
0.229 0.918 0.116 O
0.034 0.362 0.882 O
0.466 0.362 0.382 O
0.771 0.082 0.884 O
0.966 0.638 0.118 O
0.271 0.918 0.616 O
0.266 0.535 0.390 F
0.496 0.298 0.676 F
0.588 0.667 0.128 F
0.319 0.178 0.656 F
0.184 0.464 0.137 F
0.004 0.298 0.176 F
0.730 0.794 0.652 F
0.411 0.035 0.902 F
0.181 0.178 0.156 F
0.385 0.418 0.080 F
0.802 0.236 0.059 F
0.270 0.206 0.348 F
0.681 0.822 0.344 F
0.684 0.536 0.363 F
0.089 0.035 0.402 F
0.911 0.965 0.598 F
0.153 0.652 0.621 F
0.504 0.702 0.324 F
0.316 0.464 0.637 F
0.198 0.764 0.941 F
0.103 0.731 0.360 F
0.302 0.764 0.441 F
0.766 0.465 0.110 F
0.603 0.269 0.140 F
0.615 0.582 0.920 F
0.912 0.667 0.628 F
0.847 0.348 0.379 F
0.996 0.702 0.824 F
0.734 0.465 0.610 F
0.885 0.582 0.420 F
0.115 0.418 0.580 F
0.897 0.269 0.640 F
0.698 0.236 0.559 F
0.816 0.536 0.863 F
0.088 0.333 0.372 F
0.234 0.535 0.890 F
0.770 0.794 0.152 F
0.230 0.206 0.848 F
0.653 0.348 0.879 F
0.589 0.965 0.098 F
0.819 0.822 0.844 F
0.347 0.652 0.121 F
0.412 0.333 0.872 F
0.397 0.731 0.860 F
```

Properties
ρ   3.27 g cm⁻³
DFT formation energy   -2.12 eV per atom

Sb2OsC6O6F12 after structural relaxation. Source: Materials Project, functional GGA-PBE.

```
Sb2OsC6O6F12
1.0
-3.737 -6.235 -4.299
4.124 -5.696 4.677
-9.527 -0.046 8.346
Sb Os C O F
4 2 12 12 24
direct
0.000 0.500 0.750 Sb
0.500 0.000 0.750 Sb
0.500 0.000 0.250 Sb
0.000 0.500 0.250 Sb
0.500 0.500 0.500 Os
0.000 0.000 0.000 Os
0.629 0.701 0.500 C
0.371 0.299 0.500 C
0.000 0.000 0.159 C
0.500 0.500 0.341 C
0.000 0.000 0.841 C
0.500 0.500 0.659 C
0.201 0.129 0.000 C
0.871 0.201 0.000 C
0.129 0.799 0.000 C
0.701 0.371 0.500 C
0.299 0.629 0.500 C
0.799 0.871 0.000 C
0.300 0.185 0.500 O
0.700 0.815 0.500 O
0.000 0.000 0.249 O
0.500 0.500 0.251 O
0.000 0.000 0.751 O
0.500 0.500 0.749 O
0.315 0.200 0.000 O
0.800 0.315 0.000 O
0.200 0.685 0.000 O
0.815 0.300 0.500 O
0.185 0.700 0.500 O
0.685 0.800 0.000 O
0.340 0.160 0.750 F
0.840 0.340 0.750 F
0.660 0.840 0.750 F
0.381 0.893 0.858 F
0.660 0.840 0.250 F
0.160 0.660 0.250 F
0.619 0.107 0.142 F
0.893 0.619 0.142 F
0.107 0.381 0.142 F
0.119 0.393 0.358 F
0.881 0.607 0.358 F
0.381 0.893 0.142 F
0.607 0.119 0.358 F
0.393 0.881 0.358 F
0.840 0.340 0.250 F
0.107 0.381 0.858 F
0.893 0.619 0.858 F
0.881 0.607 0.642 F
0.119 0.393 0.642 F
0.619 0.107 0.858 F
0.393 0.881 0.642 F
0.607 0.119 0.642 F
0.340 0.160 0.250 F
0.160 0.660 0.750 F
```

Properties
ρ   3.05 g cm⁻³
DFT formation energy   -1.91 eV per atom